DFT (GGA-PBE) results for a geometry-optimized Ac3Ho structure.

The structure in POSCAR format:
```
Ac3Ho
1.0
3.914 -6.778 0.000
3.914 6.778 0.000
0.000 0.000 6.338
Ac Ho
6 2
Direct
0.170 0.339 0.250
0.661 0.830 0.250
0.170 0.830 0.250
0.830 0.661 0.750
0.339 0.170 0.750
0.830 0.170 0.750
0.333 0.667 0.750
0.667 0.333 0.250
```

Results
ΔE_f ... 0.071 eV/atom
V ... 336.2 Å³ per cell
Space-group type ... P6_3/mmc
Crystal system ... hexagonal

---

DFT (GGA-PBE) results for a geometry-optimized Ac3I structure.

The structure in POSCAR format:
```
Ac3I
1.0
-6.247 -4.810 -0.787
5.111 -1.087 5.956
-3.279 3.689 3.487
Ac I
6 2
Direct
0.169 0.338 0.250
0.662 0.831 0.250
0.169 0.831 0.250
0.831 0.662 0.750
0.338 0.169 0.750
0.831 0.169 0.750
0.333 0.667 0.750
0.667 0.333 0.250
```

Results
ΔE_f ... -0.200 eV/atom
Excess energy over the best structure of this formula in the dataset ... 33 meV/atom
V ... 328.6 Å³ per cell
Space-group type ... P6_3/mmc
Crystal system ... hexagonal

---

DFT (GGA-PBE) results for a geometry-optimized Ac3I structure.

The structure in POSCAR format:
```
Ac3I
1.0
-0.776 4.524 5.099
-4.587 4.847 -1.592
-0.130 -6.855 -0.256
Ac I
3 1
Direct
0.750 0.250 0.500
0.250 0.750 0.500
0.500 0.500 0.000
0.000 0.000 0.000
```

Results
ΔE_f ... -0.234 eV/atom
Excess energy over the best structure of this formula in the dataset ... 0 meV/atom
V ... 168.6 Å³ per cell
Space-group type ... I4/mmm
Crystal system ... tetragonal

---

Repeat the third record exactly.
DFT (GGA-PBE) results for a geometry-optimized Ac3I structure.

The structure in POSCAR format:
```
Ac3I
1.0
-0.776 4.524 5.099
-4.587 4.847 -1.592
-0.130 -6.855 -0.256
Ac I
3 1
Direct
0.750 0.250 0.500
0.250 0.750 0.500
0.500 0.500 0.000
0.000 0.000 0.000
```

Results
ΔE_f ... -0.234 eV/atom
Excess energy over the best structure of this formula in the dataset ... 0 meV/atom
V ... 168.6 Å³ per cell
Space-group type ... I4/mmm
Crystal system ... tetragonal

---

- Look up the ΔE_f of the second one.
  -0.200 eV/atom

---

- Look up the ΔE_f of the third one.
  -0.234 eV/atom

---

Repeat the second record exactly.
DFT (GGA-PBE) results for a geometry-optimized Ac3I structure.

The structure in POSCAR format:
```
Ac3I
1.0
-6.247 -4.810 -0.787
5.111 -1.087 5.956
-3.279 3.689 3.487
Ac I
6 2
Direct
0.169 0.338 0.250
0.662 0.831 0.250
0.169 0.831 0.250
0.831 0.662 0.750
0.338 0.169 0.750
0.831 0.169 0.750
0.333 0.667 0.750
0.667 0.333 0.250
```

Results
ΔE_f ... -0.200 eV/atom
Excess energy over the best structure of this formula in the dataset ... 33 meV/atom
V ... 328.6 Å³ per cell
Space-group type ... P6_3/mmc
Crystal system ... hexagonal